## Cu3P4S3I3 (PBE)

Data for a relaxed structure of Cu3P4S3I3.

Structure (POSCAR):
```
Cu3P4S3I3
1.0
19.4718 0.0000 0.0000
0.0000 10.1378 0.0000
0.0000 0.0000 7.1403
Cu P S I
12 16 12 12
Direct
0.1315 0.2500 0.0389
0.1828 0.0172 0.5424
0.1828 0.4828 0.5424
0.3172 0.5172 0.0424
0.3172 0.9828 0.0424
0.3685 0.7500 0.5389
0.6315 0.2500 0.4611
0.6828 0.0172 0.9576
0.6828 0.4828 0.9576
0.8172 0.5172 0.4576
0.8172 0.9828 0.4576
0.8685 0.7500 0.9611
0.0223 0.2500 0.1262
0.1134 0.6369 0.6616
0.1134 0.8631 0.6616
0.1455 0.7500 0.9199
0.3545 0.2500 0.4199
0.3866 0.1369 0.1616
0.3866 0.3631 0.1616
0.4777 0.7500 0.6262
0.5223 0.2500 0.3738
0.6134 0.6369 0.8384
0.6134 0.8631 0.8384
0.6455 0.7500 0.5801
0.8545 0.2500 0.0801
0.8866 0.1369 0.3384
0.8866 0.3631 0.3384
0.9777 0.7500 0.8738
0.0098 0.5892 0.7060
0.0098 0.9108 0.7060
0.0556 0.7500 0.0815
0.4444 0.2500 0.5815
0.4902 0.0892 0.2060
0.4902 0.4108 0.2060
0.5098 0.5892 0.7940
0.5098 0.9108 0.7940
0.5556 0.7500 0.4185
0.9444 0.2500 0.9185
0.9902 0.0892 0.2940
0.9902 0.4108 0.2940
0.1415 0.2500 0.6721
0.1929 0.0379 0.1761
0.1929 0.4621 0.1761
0.3071 0.5379 0.6761
0.3071 0.9621 0.6761
0.3585 0.7500 0.1721
0.6415 0.2500 0.8279
0.6929 0.0379 0.3239
0.6929 0.4621 0.3239
0.8071 0.5379 0.8239
0.8071 0.9621 0.8239
0.8585 0.7500 0.3279
```

The calculation puts the energy of formation at -397 meV/atom. As for the crystal system: orthorhombic. The value obtained for the uncorrected energy is -4.111 eV/atom.